[1]
This record from the Materials Project describes a geometry-optimized ThP2O9 structure. The functional is PBE.

```
data_ThP2O9
_cell_length_a 7.9782
_cell_length_b 9.7177
_cell_length_c 20.2556
_cell_angle_alpha 90.00
_cell_angle_beta 90.00
_cell_angle_gamma 90.00
_space_group_name_H-M_alt 'P b c a'
_space_group_IT_number 61
_space_group_name_Hall '-P 2ac 2ab'
loop_
_atom_site_label
_atom_site_fract_x
_atom_site_fract_y
_atom_site_fract_z
_atom_site_occupancy
Th1 0.0029 0.1517 0.1277 1
P1 0.0751 0.5184 0.1949 1
P2 0.2493 0.5945 0.9694 1
O1 0.0461 0.1312 0.6763 1
O2 0.0483 0.5506 0.2669 1
O3 0.0893 0.0965 0.3481 1
O4 0.1267 0.0378 0.9173 1
O5 0.1286 0.0295 0.4875 1
O6 0.1508 0.7160 0.9411 1
O7 0.1589 0.1362 0.0329 1
O8 0.1860 0.1843 0.3142 1
O9 0.2286 0.5820 0.1634 1
```

Theoretical density: 3.70 g cm⁻³
E_form: -2.225 eV per atom

[2]
This record from the Materials Project describes a geometry-optimized ThP4O12 structure. The functional is PBE.

```
data_ThP4O12
_cell_length_a 11.5586
_cell_length_b 8.1403
_cell_length_c 12.7389
_cell_angle_alpha 90.00
_cell_angle_beta 95.70
_cell_angle_gamma 90.00
_space_group_name_H-M_alt 'C 1 2/c 1'
_space_group_IT_number 15
_space_group_name_Hall '-C 2yc'
loop_
_atom_site_label
_atom_site_fract_x
_atom_site_fract_y
_atom_site_fract_z
_atom_site_occupancy
Th1 0.0000 0.0204 0.2500 1
P1 0.1058 0.2327 0.5137 1
P2 0.2034 0.3336 0.8044 1
O1 0.0628 0.1765 0.4051 1
O2 0.0680 0.1331 0.6028 1
O3 0.1355 0.4851 0.8079 1
O4 0.1513 0.1662 0.8191 1
O5 0.1686 0.1669 0.2083 1
O6 0.1743 0.3844 0.5351 1
```

Theoretical density: 3.05 g cm⁻³
E_form: -2.646 eV per atom

[3]
This record from the Materials Project describes a geometry-optimized Th2P2O9 structure. The functional is PBE.

```
data_Th2P2O9
_cell_length_a 7.2664
_cell_length_b 9.2852
_cell_length_c 12.9990
_cell_angle_alpha 90.00
_cell_angle_beta 90.00
_cell_angle_gamma 90.00
_space_group_name_H-M_alt 'C m c e'
_space_group_IT_number 64
_space_group_name_Hall '-C 2ac 2'
loop_
_atom_site_label
_atom_site_fract_x
_atom_site_fract_y
_atom_site_fract_z
_atom_site_occupancy
Th1 0.0000 0.2072 0.0729 1
P1 0.0000 0.1112 0.3596 1
O1 0.0000 0.0000 0.0000 1
O2 0.0000 0.0521 0.6230 1
O3 0.0000 0.1464 0.2446 1
O4 0.1673 0.1838 0.4160 1
```

Theoretical density: 5.07 g cm⁻³
E_form: -3.558 eV per atom